# PBE MoWSe2S2, optimized geometry
data_MoWSe2S2
_cell_length_a 3.254
_cell_length_b 3.254
_cell_length_c 36.877
_cell_angle_alpha 90.00
_cell_angle_beta 90.00
_cell_angle_gamma 120.00
_symmetry_space_group_name_H-M 'P 1'
_symmetry_Int_Tables_number 1
_symmetry_space_group_name_Hall 'P 1'
loop_
_atom_site_label
_atom_site_fract_x
_atom_site_fract_y
_atom_site_fract_z
Mo1 0.000 0.000 0.000
Mo2 0.333 0.667 0.188
W1 0.000 0.000 0.376
W2 0.333 0.667 0.564
Se1 0.333 0.667 0.046
Se2 0.333 0.667 0.329
Se3 0.333 0.667 0.422
Se4 0.333 0.667 0.954
S1 0.000 0.000 0.146
S2 0.000 0.000 0.230
S3 0.000 0.000 0.522
S4 0.000 0.000 0.606
# * ΔE_f: -85.1 kJ per mole of atoms
# * SG: No. 156